First-principles (meta-GGA r2SCAN) data for a geometry-optimized PrAs2 structure, as listed in the Materials Project database.

Output
total magnetization: 0.000 μB/f.u.
energy relative to the elements: -1.16 eV per atom
V: 73.9 Å³/f.u.
space-group type: P2_1/c
calculated total energy: -20.7671 eV per atom

Geometry as POSCAR:
```
PrAs2
1.0
6.937 0.000 0.000
0.000 4.182 -0.017
0.000 3.051 10.181
Pr As
4 8
Direct
0.312 0.088 0.141
0.812 0.912 0.359
0.688 0.912 0.859
0.188 0.088 0.641
0.377 0.720 0.452
0.877 0.280 0.048
0.623 0.280 0.548
0.123 0.720 0.952
0.646 0.536 0.169
0.146 0.464 0.331
0.354 0.464 0.831
0.854 0.536 0.669
```